# 1
Computed, not measured: a relaxed Na2CdSn crystal at the PBE level of DFT.

Cell lengths 5.0790, 5.0790, 10.1632 Å; angles 90.00, 90.00, 120.00 degrees
With the nearest neighbours (Å) after each atom.
Positions (direct):
Cd1 0.0000 0.0000 0.7500  3 Sn 2.93
Cd2 0.0000 0.0000 0.2500  3 Sn 2.93
Na1 0.6667 0.3333 0.4185  4 Na 3.37-3.42, 4 Sn 3.37-3.40, 3 Cd 3.40
Na2 0.3333 0.6667 0.9185  4 Na 3.37-3.42, 4 Sn 3.37-3.40, 3 Cd 3.40
Na3 0.6667 0.3333 0.0815  4 Na 3.37-3.42, 4 Sn 3.37-3.40, 3 Cd 3.40
Na4 0.3333 0.6667 0.5815  4 Na 3.37-3.42, 4 Sn 3.37-3.40, 3 Cd 3.40
Sn1 0.6667 0.3333 0.7500  3 Cd 2.93
Sn2 0.3333 0.6667 0.2500  3 Cd 2.93

Properties
energy of formation = -0.20 eV/atom

***

# 2
Computed, not measured: a relaxed SrP3 crystal at the PBE level of DFT.

Cell lengths 5.9042, 5.9042, 5.7441 Å; angles 71.90, 71.90, 77.02 degrees
With the nearest neighbours (Å) after each atom.
Positions (direct):
Sr1 0.6630 0.6630 0.1475  7 P 3.04-3.31
Sr2 0.3370 0.3370 0.8525  7 P 3.04-3.31
P1 0.6050 0.1148 0.3209  2 P 2.21-2.25
P2 0.3950 0.8852 0.6791  2 P 2.21-2.25
P3 0.8852 0.3950 0.6791  2 P 2.21-2.25
P4 0.1148 0.6050 0.3209  2 P 2.21-2.25
P5 0.0114 0.0114 0.6908  3 P 2.21-2.28
P6 0.9886 0.9886 0.3092  3 P 2.21-2.28

Properties
energy of formation = -0.64 eV/atom

***

# 3
Computed, not measured: a relaxed KNiN crystal at the PBE level of DFT.

Cell lengths 3.1263, 4.6093, 4.6231 Å; angles 89.51, 109.76, 90.00 degrees
With the nearest neighbours (Å) after each atom.
Positions (direct):
Ni1 0.2941 0.5352 0.5882  2 N 1.72
N1 0.7453 0.6590 0.4907  2 Ni 1.72
K1 0.0366 0.0118 0.0732  3 N 2.89-3.02, 1 Ni 3.12, 2 K 3.13

Properties
energy of formation = 0.16 eV/atom
energy above the lowest structure with this stoichiometry = 0.692 eV/f.u.

***

# 4
Computed, not measured: a relaxed H13PtC3N3Cl2O crystal at the PBE level of DFT.

Cell lengths 6.4230, 7.2464, 12.0749 Å; angles 105.79, 96.58, 98.65 degrees
With the nearest neighbours (Å) after each atom.
Positions (direct):
O1 0.7398 0.1612 0.8471  1 C 1.25
O2 0.2602 0.8388 0.1529  1 C 1.25
N1 0.9656 0.7537 0.0077  3 C 1.35-1.46
N2 0.4444 0.8389 0.6479  3 H 1.03
N3 0.2574 0.7004 0.3989  3 H 1.03
N4 0.0344 0.2463 0.9923  3 C 1.35-1.46
N5 0.7426 0.2996 0.6011  3 H 1.03
N6 0.5556 0.1611 0.3521  3 H 1.03
H1 0.6640 0.7531 0.0587  1 C 1.10
H2 0.3100 0.1783 0.0715  1 C 1.10
H3 0.1813 0.5602 0.3897  1 N 1.03
H4 0.0552 0.5577 0.8651  1 C 1.10
H5 0.6696 0.5721 0.9248  1 C 1.10
H6 0.8187 0.4398 0.6103  1 N 1.03
H7 0.0298 0.7886 0.8473  1 C 1.10
H8 0.3171 0.9070 0.6389  1 N 1.03
H9 0.7456 0.2336 0.0563  1 C 1.10
H10 0.1617 0.7931 0.4363  1 N 1.03
H11 0.7295 0.2841 0.6822  1 N 1.03
H12 0.3304 0.4279 0.0752  1 C 1.10
H13 0.8383 0.2069 0.5637  1 N 1.03
H14 0.3944 0.7168 0.6730  1 N 1.03
H15 0.0503 0.1647 0.8177  1 C 1.11
H16 0.4388 0.0649 0.2879  1 N 1.03
H17 0.2705 0.7159 0.3178  1 N 1.03
H18 0.3360 0.2469 0.9413  1 C 1.10
H19 0.9702 0.2114 0.1527  1 C 1.10
H20 0.9497 0.8353 0.1823  1 C 1.11
H21 0.6900 0.8217 0.9285  1 C 1.10
H22 0.9448 0.4423 0.1349  1 C 1.10
H23 0.2544 0.7664 0.9437  1 C 1.10
H24 0.6056 0.2832 0.3270  1 N 1.03
H25 0.5612 0.9351 0.7121  1 N 1.03
H26 0.6829 0.0930 0.3611  1 N 1.03
C1 0.7343 0.7233 0.9784  3 H 1.10
C2 0.9367 0.1874 0.8803  1 H 1.11
C3 0.0834 0.7149 0.9107  3 H 1.10
C4 0.9166 0.2851 0.0893  3 H 1.10
C5 0.0633 0.8126 0.1197  1 H 1.11
C6 0.2657 0.2767 0.0216  3 H 1.10
Pt1 0.4419 0.2546 0.5067  2 N 2.06
Pt2 0.5581 0.7454 0.4933  2 N 2.06
Cl1 0.6768 0.6306 0.3167  1 Pt 2.33, 1 H 2.53
Cl2 0.8949 0.7894 0.6023  1 Pt 2.33, 1 H 2.54
Cl3 0.3232 0.3694 0.6833  1 Pt 2.33, 1 H 2.53
Cl4 0.1051 0.2106 0.3977  1 Pt 2.33, 1 H 2.54

Properties
energy of formation = -0.42 eV/atom

***

# 5
Computed, not measured: a relaxed Ce3Si4Pd4 crystal at the PBE level of DFT.

Cell lengths 12.6967, 12.6967, 12.6967 Å; angles 161.42, 160.85, 26.80 degrees
With the nearest neighbours (Å) after each atom.
Positions (direct):
Si1 0.5484 0.5484 0.0000  1 Si 2.39, 2 Pd 2.43
Si2 0.4516 0.4516 0.0000  1 Si 2.39, 2 Pd 2.43
Si3 0.1962 0.6962 0.5000  5 Pd 2.43-2.50
Si4 0.8038 0.3038 0.5000  5 Pd 2.43-2.50
Pd1 0.2495 0.2495 0.0000  4 Si 2.43-2.50
Pd2 0.0974 0.5974 0.5000  3 Si 2.43-2.44
Pd3 0.7505 0.7505 0.0000  4 Si 2.43-2.50
Pd4 0.9026 0.4026 0.5000  3 Si 2.43-2.44
Ce1 0.6462 0.1462 0.5000  6 Si 3.17-3.19, 8 Pd 3.18-3.31
Ce2 0.3538 0.8538 0.5000  6 Si 3.17-3.19, 8 Pd 3.18-3.31
Ce3 0.0000 0.0000 0.0000  4 Pd 3.16, 8 Si 3.18

Properties
energy of formation = -0.90 eV/atom

***

# 6
Computed, not measured: a relaxed VFeSb crystal at the PBE level of DFT.

Cell lengths 4.0936, 4.0936, 4.0936 Å; angles 60.00, 60.00, 60.00 degrees
With the nearest neighbours (Å) after each atom.
Positions (direct):
V1 0.0000 0.0000 0.0000  4 Fe 2.51
Fe1 0.2500 0.2500 0.2500  4 Sb 2.51, 4 V 2.51
Sb1 0.5000 0.5000 0.5000  4 Fe 2.51

Properties
energy of formation = -0.28 eV/atom
energy above the lowest structure with this stoichiometry = 0.000 eV/f.u.
maximum piezoelectric response = 3.67 C/m2

***

# 7
Computed, not measured: a relaxed ZnB3Ir4 crystal at the PBE level of DFT.

Cell lengths 2.8146, 2.8452, 23.5039 Å; angles 90.00, 90.00, 90.00 degrees
With the nearest neighbours (Å) after each atom.
Positions (direct):
Zn1 0.5000 0.0000 0.5000  8 Ir 2.81, 4 Zn 2.81-2.85, 2 B 2.92
Zn2 0.0000 0.0000 0.0000  8 Ir 2.80, 4 Zn 2.81-2.85, 2 B 2.85
B1 0.0000 0.0000 0.1213  6 Ir 2.19-2.24
B2 0.5000 0.0000 0.6242  6 Ir 2.16-2.22
B3 0.0000 0.5000 0.7612  6 Ir 2.13-2.24
B4 0.5000 0.0000 0.3758  6 Ir 2.16-2.22
B5 0.0000 0.5000 0.2388  6 Ir 2.13-2.24
B6 0.0000 0.0000 0.8787  6 Ir 2.19-2.24
Ir1 0.5000 0.0000 0.1956  6 B 2.24
Ir2 0.0000 0.5000 0.5838  4 B 2.22
Ir3 0.0000 0.0000 0.6939  4 B 2.13-2.16
Ir4 0.5000 0.0000 0.8044  6 B 2.24
Ir5 0.0000 0.0000 0.3061  4 B 2.13-2.16
Ir6 0.0000 0.5000 0.4162  4 B 2.22
Ir7 0.5000 0.5000 0.9165  4 B 2.19
Ir8 0.5000 0.5000 0.0835  4 B 2.19

Properties
energy of formation = -0.27 eV/atom

***

# 8
Computed, not measured: a relaxed CeCoSb2 crystal at the PBE level of DFT.

Cell lengths 4.3782, 4.3782, 9.5872 Å; angles 90.00, 90.00, 90.00 degrees
With the nearest neighbours (Å) after each atom.
Positions (direct):
Sb1 0.7500 0.2500 0.0000  4 Sb 3.10, 4 Ce 3.36
Sb2 0.7500 0.7500 0.3585  4 Co 2.58
Sb3 0.2500 0.2500 0.6415  4 Co 2.58
Sb4 0.2500 0.7500 0.0000  4 Sb 3.10, 4 Ce 3.36
Ce1 0.2500 0.2500 0.2662  4 Co 3.13, 8 Sb 3.22-3.36
Ce2 0.7500 0.7500 0.7338  4 Co 3.13, 8 Sb 3.22-3.36
Co1 0.2500 0.7500 0.5000  4 Sb 2.58
Co2 0.7500 0.2500 0.5000  4 Sb 2.58

Properties
energy of formation = -0.74 eV/atom